Sr4Ti3O10: optimized geometry, GGA-PBE.

Unit cell a=14.470 b=14.470 c=14.470 alpha=164.34 beta=164.34 gamma=22.22
Fractional positions:
Sr: 0.068 0.068 0.000
Sr: 0.202 0.202 0.000
Sr: 0.798 0.798 0.000
Sr: 0.932 0.932 0.000
Ti: 0.360 0.360 0.000
Ti: 0.500 0.500 0.000
Ti: 0.640 0.640 0.000
O: 0.000 0.500 0.500
O: 0.139 0.639 0.500
O: 0.291 0.291 0.000
O: 0.361 0.861 0.500
O: 0.431 0.431 0.000
O: 0.500 0.000 0.500
O: 0.569 0.569 0.000
O: 0.639 0.139 0.500
O: 0.709 0.709 0.000
O: 0.861 0.361 0.500

ΔH_f (0 K)	-3509	meV per atom
volume	220.7	Å³/f.u.